A plane-wave DFT calculation with PBE was carried out for crystalline Ga3NO3 at its relaxed geometry.

Cell and atoms, written as CIF:
```
data_Ga3NO3
_chemical_formula_sum 'Ga12 N4 O12'
_cell_length_a 5.954
_cell_length_b 5.954
_cell_length_c 10.354
_cell_angle_alpha 107.04
_cell_angle_beta 107.04
_cell_angle_gamma 59.59
_symmetry_space_group_name_H-M 'P 1'
_symmetry_Int_Tables_number 1
_symmetry_space_group_name_Hall 'P 1'
loop_
_atom_site_label
_atom_site_fract_x
_atom_site_fract_y
_atom_site_fract_z
Ga1 0.000 0.000 0.000
Ga2 0.000 0.500 0.000
Ga3 0.000 0.500 0.500
Ga4 0.051 0.051 0.696
Ga5 0.249 0.249 0.256
Ga6 0.439 0.439 0.809
Ga7 0.500 0.000 0.000
Ga8 0.500 0.000 0.500
Ga9 0.500 0.500 0.500
Ga10 0.561 0.561 0.191
Ga11 0.751 0.751 0.744
Ga12 0.949 0.949 0.304
N1 0.131 0.131 0.897
N2 0.147 0.147 0.385
N3 0.853 0.853 0.615
N4 0.869 0.869 0.103
O1 0.114 0.626 0.873
O2 0.141 0.616 0.377
O3 0.366 0.366 0.130
O4 0.374 0.886 0.127
O5 0.376 0.376 0.616
O6 0.384 0.859 0.623
O7 0.616 0.141 0.377
O8 0.624 0.624 0.384
O9 0.626 0.114 0.873
O10 0.634 0.634 0.870
O11 0.859 0.384 0.623
O12 0.886 0.374 0.127
```

Density   6.04 Mg/m³
Polymorph energy (0 for the lowest one)   0.0159 eV per atom
Energy of formation   -1.698 eV per atom